{
  "formula": "SiRh",
  "functional": "PBE-GGA",
  "state": "optimized geometry",
  "lattice": [[2.983, 0.000, 0.000], [0.000, 2.983, 0.000], [0.000, 0.000, 2.983]],
  "species": ["Si", "Rh"],
  "frac_coords": [[0.000, 0.000, 0.000], [0.500, 0.500, 0.500]],
  "ef_ev_per_atom": -0.53,
  "spacegroup": "Pm-3m"
}

***

{
  "formula": "SiRh",
  "functional": "PBE-GGA",
  "state": "optimized geometry",
  "lattice": [[4.729, 0.000, 0.000], [0.000, 4.729, 0.000], [0.000, 0.000, 4.729]],
  "species": ["Si", "Si", "Si", "Si", "Rh", "Rh", "Rh", "Rh"],
  "frac_coords": [[0.158, 0.342, 0.658], [0.342, 0.658, 0.158], [0.658, 0.158, 0.342], [0.842, 0.842, 0.842], [0.152, 0.152, 0.152], [0.348, 0.848, 0.652], [0.652, 0.348, 0.848], [0.848, 0.652, 0.348]],
  "ef_ev_per_atom": -0.78,
  "spacegroup": "P2_13"
}

***

{
  "formula": "SiRh2",
  "functional": "PBE-GGA",
  "state": "optimized geometry",
  "lattice": [[5.505, 0.000, 0.000], [0.000, 3.972, 0.000], [0.000, 0.000, 7.447]],
  "species": ["Si", "Si", "Si", "Si", "Rh", "Rh", "Rh", "Rh", "Rh", "Rh", "Rh", "Rh"],
  "frac_coords": [[0.222, 0.250, 0.106], [0.278, 0.750, 0.606], [0.722, 0.250, 0.394], [0.778, 0.750, 0.894], [0.026, 0.250, 0.804], [0.159, 0.250, 0.430], [0.341, 0.750, 0.930], [0.474, 0.750, 0.304], [0.526, 0.250, 0.696], [0.659, 0.250, 0.070], [0.841, 0.750, 0.570], [0.974, 0.750, 0.196]],
  "ef_ev_per_atom": -0.72,
  "spacegroup": "Pnma"
}

***

{
  "formula": "SiRh",
  "functional": "PBE-GGA",
  "state": "optimized geometry",
  "lattice": [[5.595, 0.000, 0.000], [0.000, 3.111, 0.000], [0.000, 0.000, 6.438]],
  "species": ["Si", "Si", "Si", "Si", "Rh", "Rh", "Rh", "Rh"],
  "frac_coords": [[0.185, 0.250, 0.056], [0.315, 0.750, 0.556], [0.685, 0.250, 0.444], [0.815, 0.750, 0.944], [0.003, 0.250, 0.703], [0.497, 0.750, 0.203], [0.503, 0.250, 0.797], [0.997, 0.750, 0.297]],
  "ef_ev_per_atom": -0.82,
  "spacegroup": "Pnma"
}

***

{
  "formula": "Si3Rh5",
  "functional": "PBE-GGA",
  "state": "optimized geometry",
  "lattice": [[5.395, 0.000, 0.000], [0.000, 10.306, 0.000], [0.000, 0.000, 3.911]],
  "species": ["Si", "Si", "Si", "Si", "Si", "Si", "Rh", "Rh", "Rh", "Rh", "Rh", "Rh", "Rh", "Rh", "Rh", "Rh"],
  "frac_coords": [[0.000, 0.000, 0.000], [0.096, 0.346, 0.500], [0.404, 0.846, 0.500], [0.500, 0.500, 0.000], [0.596, 0.154, 0.500], [0.904, 0.654, 0.500], [0.000, 0.500, 0.000], [0.161, 0.787, 0.000], [0.167, 0.107, 0.500], [0.333, 0.607, 0.500], [0.339, 0.287, 0.000], [0.500, 0.000, 0.000], [0.661, 0.713, 0.000], [0.667, 0.393, 0.500], [0.833, 0.893, 0.500], [0.839, 0.213, 0.000]],
  "ef_ev_per_atom": -0.75,
  "spacegroup": "Pbam"
}

***

{
  "formula": "SiRh",
  "functional": "PBE-GGA",
  "state": "optimized geometry",
  "lattice": [[4.622, 0.000, 0.000], [0.000, 4.603, 0.000], [-2.390, 0.000, 5.094]],
  "species": ["Si", "Si", "Si", "Si", "Rh", "Rh", "Rh", "Rh"],
  "frac_coords": [[0.213, 0.147, 0.442], [0.213, 0.353, 0.942], [0.787, 0.647, 0.058], [0.787, 0.853, 0.558], [0.300, 0.644, 0.619], [0.300, 0.856, 0.119], [0.700, 0.144, 0.881], [0.700, 0.356, 0.381]],
  "ef_ev_per_atom": -0.80,
  "spacegroup": "P2_1/c"
}

***

{
  "formula": "SiRh3",
  "functional": "PBE-GGA",
  "state": "optimized geometry",
  "lattice": [[3.867, 0.000, 0.000], [0.000, 3.867, 0.000], [0.000, 0.000, 7.339]],
  "species": ["Si", "Si", "Rh", "Rh", "Rh", "Rh", "Rh", "Rh"],
  "frac_coords": [[0.000, 0.000, 0.000], [0.500, 0.500, 0.500], [0.000, 0.000, 0.500], [0.000, 0.500, 0.250], [0.000, 0.500, 0.750], [0.500, 0.000, 0.250], [0.500, 0.000, 0.750], [0.500, 0.500, 0.000]],
  "ef_ev_per_atom": -0.34,
  "spacegroup": "I4/mmm"
}

***

{
  "formula": "Sm2Si5Rh3",
  "functional": "PBE-GGA",
  "state": "optimized geometry",
  "lattice": [[-4.974, 5.854, 2.912], [4.974, -5.854, 2.912], [4.974, 5.854, -2.912]],
  "species": ["Sm", "Sm", "Sm", "Sm", "Si", "Si", "Si", "Si", "Si", "Si", "Si", "Si", "Si", "Si", "Rh", "Rh", "Rh", "Rh", "Rh", "Rh"],
  "frac_coords": [[0.131, 0.233, 0.364], [0.369, 0.733, 0.102], [0.631, 0.267, 0.898], [0.869, 0.767, 0.636], [0.026, 0.750, 0.276], [0.107, 0.654, 0.761], [0.250, 0.250, 0.000], [0.393, 0.154, 0.547], [0.474, 0.750, 0.724], [0.526, 0.250, 0.276], [0.607, 0.846, 0.453], [0.750, 0.750, 0.000], [0.893, 0.346, 0.239], [0.974, 0.250, 0.724], [0.139, 0.891, 0.029], [0.250, 0.750, 0.500], [0.361, 0.391, 0.752], [0.639, 0.609, 0.248], [0.750, 0.250, 0.500], [0.861, 0.109, 0.971]],
  "ef_ev_per_atom": -0.97,
  "spacegroup": "Ibam"
}

***

{
  "formula": "SmSi2Rh2",
  "functional": "PBE-GGA",
  "state": "optimized geometry",
  "lattice": [[4.095, 0.000, 0.000], [0.000, 4.095, 0.000], [0.000, 0.000, 10.110]],
  "species": ["Sm", "Sm", "Si", "Si", "Si", "Si", "Rh", "Rh", "Rh", "Rh"],
  "frac_coords": [[0.000, 0.000, 0.000], [0.500, 0.500, 0.500], [0.000, 0.000, 0.377], [0.000, 0.000, 0.623], [0.500, 0.500, 0.123], [0.500, 0.500, 0.877], [0.000, 0.500, 0.250], [0.000, 0.500, 0.750], [0.500, 0.000, 0.250], [0.500, 0.000, 0.750]],
  "ef_ev_per_atom": -1.10,
  "spacegroup": "I4/mmm"
}

***

{
  "formula": "SmSi2Rh",
  "functional": "PBE-GGA",
  "state": "optimized geometry",
  "lattice": [[4.213, 0.000, 0.000], [0.000, 16.712, 0.000], [0.000, 0.000, 4.197]],
  "species": ["Sm", "Sm", "Sm", "Sm", "Si", "Si", "Si", "Si", "Si", "Si", "Si", "Si", "Rh", "Rh", "Rh", "Rh"],
  "frac_coords": [[0.000, 0.104, 0.250], [0.000, 0.896, 0.750], [0.500, 0.396, 0.750], [0.500, 0.604, 0.250], [0.000, 0.250, 0.750], [0.000, 0.462, 0.250], [0.000, 0.538, 0.750], [0.000, 0.750, 0.250], [0.500, 0.038, 0.750], [0.500, 0.250, 0.250], [0.500, 0.750, 0.750], [0.500, 0.962, 0.250], [0.000, 0.321, 0.250], [0.000, 0.679, 0.750], [0.500, 0.179, 0.750], [0.500, 0.821, 0.250]],
  "ef_ev_per_atom": -0.93,
  "spacegroup": "Cmcm"
}

***

{
  "formula": "Sm3Si2Rh2",
  "functional": "PBE-GGA",
  "state": "optimized geometry",
  "lattice": [[5.655, 0.000, 0.000], [0.000, 7.940, 0.000], [0.000, 0.000, 13.240]],
  "species": ["Sm", "Sm", "Sm", "Sm", "Sm", "Sm", "Sm", "Sm", "Sm", "Sm", "Sm", "Sm", "Si", "Si", "Si", "Si", "Si", "Si", "Si", "Si", "Rh", "Rh", "Rh", "Rh", "Rh", "Rh", "Rh", "Rh"],
  "frac_coords": [[0.139, 0.110, 0.102], [0.139, 0.110, 0.398], [0.139, 0.390, 0.602], [0.139, 0.390, 0.898], [0.361, 0.747, 0.750], [0.361, 0.753, 0.250], [0.639, 0.247, 0.750], [0.639, 0.253, 0.250], [0.861, 0.610, 0.102], [0.861, 0.610, 0.398], [0.861, 0.890, 0.602], [0.861, 0.890, 0.898], [0.151, 0.100, 0.750], [0.151, 0.400, 0.250], [0.371, 0.750, 0.000], [0.371, 0.750, 0.500], [0.629, 0.250, 0.000], [0.629, 0.250, 0.500], [0.849, 0.600, 0.750], [0.849, 0.900, 0.250], [0.373, 0.033, 0.591], [0.373, 0.033, 0.909], [0.373, 0.467, 0.091], [0.373, 0.467, 0.409], [0.627, 0.533, 0.591], [0.627, 0.533, 0.909], [0.627, 0.967, 0.091], [0.627, 0.967, 0.409]],
  "ef_ev_per_atom": -0.88,
  "spacegroup": "Pbcm"
}

***

{
  "formula": "Sm6Si19Rh30",
  "functional": "PBE-GGA",
  "state": "optimized geometry",
  "lattice": [[15.848, 0.000, 0.000], [-7.924, 13.724, 0.000], [0.000, 0.000, 3.881]],
  "species": ["Sm", "Sm", "Sm", "Sm", "Sm", "Sm", "Si", "Si", "Si", "Si", "Si", "Si", "Si", "Si", "Si", "Si", "Si", "Si", "Si", "Si", "Si", "Si", "Si", "Si", "Si", "Rh", "Rh", "Rh", "Rh", "Rh", "Rh", "Rh", "Rh", "Rh", "Rh", "Rh", "Rh", "Rh", "Rh", "Rh", "Rh", "Rh", "Rh", "Rh", "Rh", "Rh", "Rh", "Rh", "Rh", "Rh", "Rh", "Rh", "Rh", "Rh", "Rh"],
  "frac_coords": [[0.037, 0.767, 0.000], [0.233, 0.270, 0.000], [0.433, 0.062, 0.500], [0.629, 0.567, 0.500], [0.730, 0.963, 0.000], [0.938, 0.371, 0.500], [0.015, 0.908, 0.500], [0.079, 0.534, 0.000], [0.092, 0.107, 0.500], [0.201, 0.789, 0.500], [0.211, 0.412, 0.500], [0.269, 0.038, 0.000], [0.333, 0.667, 0.916], [0.397, 0.296, 0.500], [0.455, 0.921, 0.000], [0.466, 0.545, 0.000], [0.574, 0.226, 0.000], [0.588, 0.799, 0.500], [0.652, 0.426, 0.000], [0.704, 0.101, 0.500], [0.769, 0.731, 0.000], [0.774, 0.348, 0.000], [0.893, 0.985, 0.500], [0.899, 0.603, 0.500], [0.962, 0.231, 0.000], [0.058, 0.622, 0.499], [0.069, 0.249, 0.500], [0.103, 0.392, 0.001], [0.109, 0.016, 0.000], [0.180, 0.931, 0.500], [0.187, 0.549, 0.503], [0.206, 0.699, 0.998], [0.258, 0.130, 0.499], [0.290, 0.897, 0.001], [0.301, 0.508, 0.998], [0.362, 0.813, 0.503], [0.378, 0.436, 0.499], [0.408, 0.203, 0.000], [0.451, 0.638, 0.503], [0.487, 0.403, 0.999], [0.492, 0.794, 0.998], [0.557, 0.318, 0.500], [0.564, 0.942, 0.499], [0.597, 0.084, 0.999], [0.608, 0.710, 0.001], [0.682, 0.240, 0.500], [0.751, 0.820, 0.500], [0.760, 0.443, 0.500], [0.795, 0.592, 0.000], [0.797, 0.205, 0.000], [0.870, 0.128, 0.499], [0.872, 0.742, 0.499], [0.906, 0.891, 0.000], [0.916, 0.513, 0.999], [0.984, 0.094, 0.000]],
  "ef_ev_per_atom": -0.99,
  "spacegroup": "P3"
}